! SrCa2WN4 (PBE, optimized geometry); values from VASP
! Crystal system: orthorhombic
! Total energy after the MP2020 corrections in eV/cell: -494.93
! Formation energy in eV per formula unit: -9.9
! SG: Pbca
&SYSTEM
  ibrav = 0, nat = 64, ntyp = 4
/
ATOMIC_SPECIES
Sr 87.62 Sr.upf
Ca 40.08 Ca.upf
W 183.84 W.upf
N 14.01 N.upf
CELL_PARAMETERS angstrom
9.357 0.000 0.000
0.000 11.407 0.000
0.000 0.000 10.224
ATOMIC_POSITIONS crystal
Sr 0.188 0.118 0.221
Sr 0.188 0.382 0.721
Sr 0.312 0.618 0.221
Sr 0.312 0.882 0.721
Sr 0.688 0.118 0.279
Sr 0.688 0.382 0.779
Sr 0.812 0.618 0.279
Sr 0.812 0.882 0.779
Ca 0.028 0.102 0.622
Ca 0.028 0.398 0.122
Ca 0.132 0.639 0.534
Ca 0.132 0.861 0.034
Ca 0.368 0.139 0.534
Ca 0.368 0.361 0.034
Ca 0.472 0.602 0.622
Ca 0.472 0.898 0.122
Ca 0.528 0.102 0.878
Ca 0.528 0.398 0.378
Ca 0.632 0.639 0.966
Ca 0.632 0.861 0.466
Ca 0.868 0.139 0.966
Ca 0.868 0.361 0.466
Ca 0.972 0.602 0.878
Ca 0.972 0.898 0.378
W 0.191 0.112 0.899
W 0.191 0.388 0.399
W 0.309 0.612 0.899
W 0.309 0.888 0.399
W 0.691 0.112 0.601
W 0.691 0.388 0.101
W 0.809 0.612 0.601
W 0.809 0.888 0.101
N 0.053 0.005 0.838
N 0.053 0.495 0.338
N 0.105 0.230 0.001
N 0.105 0.270 0.501
N 0.183 0.526 0.007
N 0.183 0.974 0.507
N 0.206 0.675 0.757
N 0.206 0.825 0.257
N 0.294 0.175 0.757
N 0.294 0.325 0.257
N 0.317 0.026 0.007
N 0.317 0.474 0.507
N 0.395 0.730 0.001
N 0.395 0.770 0.501
N 0.447 0.505 0.838
N 0.447 0.995 0.338
N 0.553 0.005 0.662
N 0.553 0.495 0.162
N 0.605 0.230 0.499
N 0.605 0.270 0.999
N 0.683 0.526 0.493
N 0.683 0.974 0.993
N 0.706 0.675 0.743
N 0.706 0.825 0.243
N 0.794 0.175 0.743
N 0.794 0.325 0.243
N 0.817 0.026 0.493
N 0.817 0.474 0.993
N 0.895 0.730 0.499
N 0.895 0.770 0.999
N 0.947 0.505 0.662
N 0.947 0.995 0.162

---

! CaTcN3 (PBE, optimized geometry); values from VASP
! Crystal system: monoclinic
! Total energy after the MP2020 corrections in eV/cell: -80.62
! Formation energy in eV per formula unit: -2.9
! SG: C2/m
&SYSTEM
  ibrav = 0, nat = 10, ntyp = 3
/
ATOMIC_SPECIES
Ca 40.08 Ca.upf
Tc 98.00 Tc.upf
N 14.01 N.upf
CELL_PARAMETERS angstrom
6.184 -1.828 0.000
6.184 1.828 0.000
-1.755 0.000 6.234
ATOMIC_POSITIONS crystal
Ca 0.122 0.122 0.329
Ca 0.878 0.878 0.671
Tc 0.345 0.345 0.151
Tc 0.655 0.655 0.849
N 0.180 0.180 0.993
N 0.343 0.343 0.422
N 0.497 0.497 0.098
N 0.503 0.503 0.902
N 0.657 0.657 0.578
N 0.820 0.820 0.007

---

! CaTcN3 (PBE, optimized geometry); values from VASP
! Crystal system: monoclinic
! Total energy after the MP2020 corrections in eV/cell: -160.99
! Formation energy in eV per formula unit: -2.9
! SG: C2/c
&SYSTEM
  ibrav = 0, nat = 20, ntyp = 3
/
ATOMIC_SPECIES
Ca 40.08 Ca.upf
Tc 98.00 Tc.upf
N 14.01 N.upf
CELL_PARAMETERS angstrom
5.493 -4.957 0.000
5.493 4.957 0.000
-2.208 0.000 5.836
ATOMIC_POSITIONS crystal
Ca 0.086 0.914 0.750
Ca 0.304 0.696 0.250
Ca 0.696 0.304 0.750
Ca 0.914 0.086 0.250
Tc 0.200 0.378 0.770
Tc 0.378 0.200 0.270
Tc 0.622 0.800 0.730
Tc 0.800 0.622 0.230
N 0.008 0.228 0.662
N 0.122 0.611 0.830
N 0.228 0.008 0.162
N 0.346 0.352 0.055
N 0.352 0.346 0.555
N 0.389 0.878 0.670
N 0.611 0.122 0.330
N 0.648 0.654 0.445
N 0.654 0.648 0.945
N 0.772 0.992 0.838
N 0.878 0.389 0.170
N 0.992 0.772 0.338

---

! Ca6Te3N2 (PBE, optimized geometry); values from VASP
! Crystal system: trigonal
! Total energy after the MP2020 corrections in eV/cell: -106.78
! Formation energy in eV per formula unit: -15.3
! SG: R-3c
&SYSTEM
  ibrav = 0, nat = 22, ntyp = 3
/
ATOMIC_SPECIES
Ca 40.08 Ca.upf
Te 127.60 Te.upf
N 14.01 N.upf
CELL_PARAMETERS angstrom
6.050 3.493 4.385
-6.050 3.493 4.385
0.000 -6.986 4.385
ATOMIC_POSITIONS crystal
Ca 0.018 0.904 0.722
Ca 0.096 0.278 0.982
Ca 0.222 0.404 0.518
Ca 0.278 0.982 0.096
Ca 0.404 0.518 0.222
Ca 0.482 0.778 0.596
Ca 0.518 0.222 0.404
Ca 0.596 0.482 0.778
Ca 0.722 0.018 0.904
Ca 0.778 0.596 0.482
Ca 0.904 0.722 0.018
Ca 0.982 0.096 0.278
Te 0.125 0.750 0.375
Te 0.250 0.625 0.875
Te 0.375 0.125 0.750
Te 0.625 0.875 0.250
Te 0.750 0.375 0.125
Te 0.875 0.250 0.625
N 0.000 0.000 0.000
N 0.250 0.250 0.250
N 0.500 0.500 0.500
N 0.750 0.750 0.750

---

! Ca7TeN6 (PBE, optimized geometry); values from VASP
! Crystal system: orthorhombic
! Total energy after the MP2020 corrections in eV/cell: -153.47
! Formation energy in eV per formula unit: -9.5
! SG: Ibam
&SYSTEM
  ibrav = 0, nat = 28, ntyp = 3
/
ATOMIC_SPECIES
Ca 40.08 Ca.upf
Te 127.60 Te.upf
N 14.01 N.upf
CELL_PARAMETERS angstrom
-3.272 5.964 6.149
3.272 -5.964 6.149
3.272 5.964 -6.149
ATOMIC_POSITIONS crystal
Ca 0.046 0.220 0.266
Ca 0.091 0.499 0.847
Ca 0.151 0.999 0.408
Ca 0.250 0.250 0.000
Ca 0.349 0.756 0.847
Ca 0.409 0.256 0.408
Ca 0.454 0.720 0.174
Ca 0.546 0.280 0.826
Ca 0.591 0.744 0.592
Ca 0.651 0.244 0.153
Ca 0.750 0.750 0.000
Ca 0.849 0.001 0.592
Ca 0.909 0.501 0.153
Ca 0.954 0.780 0.734
Te 0.250 0.750 0.500
Te 0.750 0.250 0.500
N 0.074 0.906 0.590
N 0.150 0.896 0.046
N 0.184 0.594 0.167
N 0.316 0.483 0.410
N 0.350 0.396 0.746
N 0.426 0.017 0.833
N 0.574 0.983 0.167
N 0.650 0.604 0.254
N 0.684 0.517 0.590
N 0.816 0.406 0.833
N 0.850 0.104 0.954
N 0.926 0.094 0.410

---

! Ca3TeN4 (PBE, optimized geometry); values from VASP
! Crystal system: trigonal
! Total energy after the MP2020 corrections in eV/cell: -846.60
! Formation energy in eV per formula unit: -4.5
! SG: P31c
&SYSTEM
  ibrav = 0, nat = 144, ntyp = 3
/
ATOMIC_SPECIES
Ca 40.08 Ca.upf
Te 127.60 Te.upf
N 14.01 N.upf
CELL_PARAMETERS angstrom
17.308 0.000 0.000
-8.654 14.989 0.000
0.000 0.000 9.523
ATOMIC_POSITIONS crystal
Ca 0.000 0.000 0.000
Ca 0.000 0.000 0.500
Ca 0.029 0.683 0.489
Ca 0.030 0.343 0.111
Ca 0.076 0.853 0.163
Ca 0.089 0.235 0.815
Ca 0.098 0.579 0.229
Ca 0.121 0.521 0.889
Ca 0.145 0.911 0.815
Ca 0.147 0.224 0.163
Ca 0.177 0.434 0.415
Ca 0.192 0.739 0.746
Ca 0.224 0.147 0.663
Ca 0.235 0.089 0.315
Ca 0.257 0.823 0.415
Ca 0.261 0.453 0.746
Ca 0.313 0.970 0.111
Ca 0.317 0.346 0.489
Ca 0.333 0.667 0.080
Ca 0.333 0.667 0.558
Ca 0.343 0.030 0.611
Ca 0.346 0.317 0.989
Ca 0.400 0.879 0.889
Ca 0.421 0.519 0.229
Ca 0.434 0.177 0.915
Ca 0.453 0.261 0.246
Ca 0.479 0.600 0.889
Ca 0.481 0.902 0.229
Ca 0.519 0.421 0.729
Ca 0.521 0.121 0.389
Ca 0.547 0.808 0.746
Ca 0.566 0.743 0.415
Ca 0.579 0.098 0.729
Ca 0.600 0.479 0.389
Ca 0.654 0.971 0.489
Ca 0.657 0.687 0.111
Ca 0.667 0.333 0.058
Ca 0.667 0.333 0.580
Ca 0.683 0.029 0.989
Ca 0.687 0.657 0.611
Ca 0.739 0.192 0.246
Ca 0.743 0.566 0.915
Ca 0.765 0.855 0.815
Ca 0.776 0.924 0.163
Ca 0.808 0.547 0.246
Ca 0.823 0.257 0.915
Ca 0.853 0.076 0.663
Ca 0.855 0.765 0.315
Ca 0.879 0.400 0.389
Ca 0.902 0.481 0.729
Ca 0.911 0.145 0.315
Ca 0.924 0.776 0.663
Ca 0.970 0.313 0.611
Ca 0.971 0.654 0.989
Te 0.104 0.225 0.477
Te 0.110 0.555 0.569
Te 0.121 0.896 0.477
Te 0.208 0.767 0.074
Te 0.225 0.104 0.977
Te 0.233 0.442 0.074
Te 0.442 0.233 0.574
Te 0.445 0.555 0.569
Te 0.445 0.890 0.569
Te 0.555 0.110 0.069
Te 0.555 0.445 0.069
Te 0.558 0.792 0.074
Te 0.767 0.208 0.574
Te 0.775 0.879 0.477
Te 0.792 0.558 0.574
Te 0.879 0.775 0.977
Te 0.890 0.445 0.069
Te 0.896 0.121 0.977
N 0.002 0.815 0.402
N 0.005 0.131 0.581
N 0.031 0.444 0.470
N 0.057 0.587 0.723
N 0.065 0.275 0.325
N 0.093 0.723 0.166
N 0.126 0.995 0.581
N 0.131 0.005 0.081
N 0.143 0.373 0.931
N 0.146 0.823 0.605
N 0.161 0.658 0.443
N 0.167 0.486 0.184
N 0.177 0.323 0.605
N 0.185 0.187 0.402
N 0.187 0.185 0.902
N 0.205 0.539 0.652
N 0.205 0.664 0.986
N 0.210 0.935 0.325
N 0.230 0.857 0.931
N 0.275 0.065 0.825
N 0.277 0.370 0.166
N 0.319 0.833 0.184
N 0.323 0.177 0.105
N 0.334 0.795 0.652
N 0.336 0.541 0.986
N 0.342 0.503 0.443
N 0.370 0.277 0.666
N 0.373 0.143 0.431
N 0.413 0.470 0.723
N 0.414 0.969 0.470
N 0.444 0.031 0.970
N 0.459 0.795 0.986
N 0.461 0.666 0.652
N 0.470 0.413 0.223
N 0.486 0.167 0.684
N 0.497 0.839 0.443
N 0.503 0.342 0.943
N 0.514 0.681 0.184
N 0.530 0.943 0.723
N 0.539 0.205 0.152
N 0.541 0.336 0.486
N 0.556 0.586 0.470
N 0.586 0.556 0.970
N 0.587 0.057 0.223
N 0.627 0.770 0.931
N 0.630 0.907 0.166
N 0.658 0.161 0.943
N 0.664 0.205 0.486
N 0.666 0.461 0.152
N 0.677 0.854 0.605
N 0.681 0.514 0.684
N 0.723 0.093 0.666
N 0.725 0.790 0.325
N 0.770 0.627 0.431
N 0.790 0.725 0.825
N 0.795 0.334 0.152
N 0.795 0.459 0.486
N 0.813 0.998 0.402
N 0.815 0.002 0.902
N 0.823 0.146 0.105
N 0.833 0.319 0.684
N 0.839 0.497 0.943
N 0.854 0.677 0.105
N 0.857 0.230 0.431
N 0.869 0.874 0.581
N 0.874 0.869 0.081
N 0.907 0.630 0.666
N 0.935 0.210 0.825
N 0.943 0.530 0.223
N 0.969 0.414 0.970
N 0.995 0.126 0.081
N 0.998 0.813 0.902

---

! Ca3Ti2N4 (PBE, optimized geometry); values from VASP
! Crystal system: orthorhombic
! Total energy after the MP2020 corrections in eV/cell: -266.40
! Formation energy in eV per formula unit: -11.4
! SG: Pnna
&SYSTEM
  ibrav = 0, nat = 36, ntyp = 3
/
ATOMIC_SPECIES
Ca 40.08 Ca.upf
Ti 47.87 Ti.upf
N 14.01 N.upf
CELL_PARAMETERS angstrom
5.855 0.000 0.000
0.000 10.118 0.000
0.000 0.000 9.245
ATOMIC_POSITIONS crystal
Ca 0.116 0.156 0.077
Ca 0.116 0.344 0.423
Ca 0.250 0.000 0.399
Ca 0.250 0.500 0.101
Ca 0.384 0.656 0.423
Ca 0.384 0.844 0.077
Ca 0.616 0.156 0.923
Ca 0.616 0.344 0.577
Ca 0.750 0.000 0.601
Ca 0.750 0.500 0.899
Ca 0.884 0.656 0.577
Ca 0.884 0.844 0.923
Ti 0.140 0.250 0.750
Ti 0.250 0.000 0.732
Ti 0.250 0.500 0.768
Ti 0.360 0.750 0.750
Ti 0.640 0.250 0.250
Ti 0.750 0.000 0.268
Ti 0.750 0.500 0.232
Ti 0.860 0.750 0.250
N 0.011 0.586 0.333
N 0.011 0.914 0.167
N 0.156 0.651 0.887
N 0.156 0.849 0.613
N 0.344 0.151 0.613
N 0.344 0.349 0.887
N 0.489 0.086 0.167
N 0.489 0.414 0.333
N 0.511 0.586 0.667
N 0.511 0.914 0.833
N 0.656 0.651 0.113
N 0.656 0.849 0.387
N 0.844 0.151 0.387
N 0.844 0.349 0.113
N 0.989 0.086 0.833
N 0.989 0.414 0.667

---

! CaTiN2 (PBE, optimized geometry); values from VASP
! Crystal system: orthorhombic
! Total energy after the MP2020 corrections in eV/cell: -523.56
! Formation energy in eV per formula unit: -6.1
! SG: Pbca
&SYSTEM
  ibrav = 0, nat = 64, ntyp = 3
/
ATOMIC_SPECIES
Ca 40.08 Ca.upf
Ti 47.87 Ti.upf
N 14.01 N.upf
CELL_PARAMETERS angstrom
4.997 0.000 0.000
0.000 10.065 0.000
0.000 0.000 17.153
ATOMIC_POSITIONS crystal
Ca 0.241 0.003 0.063
Ca 0.241 0.497 0.563
Ca 0.248 0.247 0.187
Ca 0.248 0.253 0.687
Ca 0.252 0.747 0.187
Ca 0.252 0.753 0.687
Ca 0.259 0.503 0.063
Ca 0.259 0.997 0.563
Ca 0.741 0.003 0.437
Ca 0.741 0.497 0.937
Ca 0.748 0.247 0.313
Ca 0.748 0.253 0.813
Ca 0.752 0.747 0.313
Ca 0.752 0.753 0.813
Ca 0.759 0.503 0.437
Ca 0.759 0.997 0.937
Ti 0.201 0.523 0.813
Ti 0.201 0.977 0.313
Ti 0.211 0.227 0.438
Ti 0.211 0.273 0.938
Ti 0.289 0.727 0.438
Ti 0.289 0.773 0.938
Ti 0.299 0.023 0.813
Ti 0.299 0.477 0.313
Ti 0.701 0.523 0.687
Ti 0.701 0.977 0.187
Ti 0.711 0.227 0.062
Ti 0.711 0.273 0.562
Ti 0.789 0.727 0.062
Ti 0.789 0.773 0.562
Ti 0.799 0.023 0.687
Ti 0.799 0.477 0.187
N 0.168 0.744 0.048
N 0.168 0.756 0.548
N 0.175 0.501 0.202
N 0.175 0.999 0.702
N 0.233 0.710 0.827
N 0.233 0.790 0.327
N 0.246 0.540 0.423
N 0.246 0.960 0.923
N 0.254 0.040 0.423
N 0.254 0.460 0.923
N 0.267 0.210 0.827
N 0.267 0.290 0.327
N 0.325 0.001 0.202
N 0.325 0.499 0.702
N 0.332 0.244 0.048
N 0.332 0.256 0.548
N 0.668 0.744 0.452
N 0.668 0.756 0.952
N 0.675 0.501 0.298
N 0.675 0.999 0.798
N 0.733 0.710 0.673
N 0.733 0.790 0.173
N 0.746 0.540 0.077
N 0.746 0.960 0.577
N 0.754 0.040 0.077
N 0.754 0.460 0.577
N 0.767 0.210 0.673
N 0.767 0.290 0.173
N 0.825 0.001 0.298
N 0.825 0.499 0.798
N 0.832 0.244 0.452
N 0.832 0.256 0.952